Ba2Sb4P2O17 after structural relaxation, computed with GGA-PBE.

Properties
crystal system = orthorhombic

Unit cell a=21.311 b=7.311 c=9.689 alpha=90.00 beta=90.00 gamma=90.00
Space group Pnma (No. 62)
Asymmetric unit:
1 Ba 0.030 0.250 0.152
2 Ba 0.175 0.750 0.689
3 Sb 0.000 0.000 0.500
4 Sb 0.159 0.501 0.329
5 Sb 0.223 0.250 0.632
6 P 0.074 0.250 0.747
7 P 0.130 0.750 0.049
8 O 0.031 0.750 0.548
9 O 0.044 0.250 0.888
10 O 0.055 0.072 0.665
11 O 0.069 0.048 0.369
12 O 0.091 0.750 0.918
13 O 0.118 0.575 0.138
14 O 0.147 0.250 0.760
15 O 0.153 0.750 0.404
16 O 0.166 0.250 0.250
17 O 0.187 0.052 0.520
18 O 0.201 0.750 0.002
19 O 0.244 0.546 0.249

---

BaSnP2O8 after structural relaxation, computed with GGA-PBE.

Properties
crystal system = monoclinic

Unit cell a=8.361 b=5.304 c=8.032 alpha=90.00 beta=94.27 gamma=90.00
Space group C2/m (No. 12)
Asymmetric unit:
1 Ba 0.000 0.000 0.000
2 Sn 0.000 0.000 0.500
3 P 0.132 0.500 0.292
4 O 0.024 0.260 0.309
5 O 0.189 0.500 0.116
6 O 0.240 0.000 0.561

---

Ba2SrP2O8 after structural relaxation, computed with GGA-PBE.

Properties
crystal system = trigonal

Unit cell a=5.6131 b=5.6131 c=21.0824 alpha=90.00 beta=90.00 gamma=120.00
Space group R-3m (No. 166, hexagonal axes)
Asymmetric unit:
1 Ba 0.0000 0.0000 0.2086
2 Sr 0.0000 0.0000 0.0000
3 P 0.0000 0.0000 0.4039
4 O 0.0000 0.0000 0.3307
5 O 0.0297 0.5148 0.2379

---

BaSr2P2O8 after structural relaxation, computed with GGA-PBE.

Properties
crystal system = trigonal

Unit cell a=5.5352 b=5.5352 c=20.4239 alpha=90.00 beta=90.00 gamma=120.00
Space group R-3m (No. 166, hexagonal axes)
Asymmetric unit:
1 Ba 0.0000 0.0000 0.0000
2 Sr 0.0000 0.0000 0.2093
3 P 0.0000 0.0000 0.4100
4 O 0.0000 0.0000 0.3339
5 O 0.0268 0.5134 0.2306

---

Ba2Zn2TeP2O11 after structural relaxation, computed with GGA-PBE.

Properties
crystal system = monoclinic

Unit cell a=7.133 b=16.403 c=9.946 alpha=90.00 beta=105.94 gamma=90.00
Space group P2_1/c (No. 14)
Asymmetric unit:
1 Ba 0.223 0.241 0.386
2 Ba 0.243 0.594 0.964
3 Zn 0.069 0.544 0.300
4 Zn 0.317 0.644 0.583
5 Te 0.331 0.055 0.112
6 P 0.274 0.101 0.663
7 P 0.295 0.714 0.274
8 O 0.120 0.653 0.226
9 O 0.129 0.173 0.625
10 O 0.142 0.132 0.032
11 O 0.151 0.020 0.656
12 O 0.211 0.018 0.250
13 O 0.212 0.700 0.719
14 O 0.243 0.538 0.488
15 O 0.366 0.718 0.437
16 O 0.393 0.093 0.556
17 O 0.406 0.112 0.816
18 O 0.459 0.688 0.210

---

BaThP2O8 after structural relaxation, computed with GGA-PBE.

Properties
crystal system = monoclinic

Unit cell a=12.993 b=5.481 c=9.620 alpha=90.00 beta=101.79 gamma=90.00
Space group C2/c (No. 15)
Asymmetric unit:
1 Ba 0.250 0.250 0.000
2 Th 0.000 0.176 0.250
3 P 0.092 0.265 0.610
4 O 0.026 0.189 0.911
5 O 0.110 0.481 0.181
6 O 0.127 0.275 0.465
7 O 0.153 0.059 0.705

---

BaTi2P4O14 after structural relaxation, computed with GGA-PBE.

Properties
crystal system = monoclinic

Unit cell a=10.763 b=10.780 c=10.025 alpha=90.00 beta=102.75 gamma=90.00
Space group C2/c (No. 15)
Asymmetric unit:
1 Ba 0.250 0.250 0.000
2 Ti 0.000 0.000 0.000
3 Ti 0.000 0.452 0.250
4 P 0.061 0.314 0.556
5 P 0.220 0.043 0.297
6 O 0.025 0.179 0.573
7 O 0.033 0.399 0.891
8 O 0.070 0.344 0.410
9 O 0.140 0.012 0.400
10 O 0.141 0.079 0.156
11 O 0.182 0.440 0.202
12 O 0.201 0.330 0.656

---

BaTlP3O11 after structural relaxation, computed with GGA-PBE.

Properties
crystal system = monoclinic

Unit cell a=7.203 b=12.258 c=13.125 alpha=90.00 beta=111.48 gamma=90.00
Space group P2_1/c (No. 14)
Asymmetric unit:
1 Ba 0.046 0.031 0.334
2 Tl 0.320 0.247 0.604
3 P 0.154 0.687 0.628
4 P 0.164 0.668 0.415
5 P 0.369 0.646 0.066
6 O 0.028 0.241 0.420
7 O 0.053 0.182 0.157
8 O 0.181 0.616 0.724
9 O 0.183 0.615 0.531
10 O 0.226 0.551 0.051
11 O 0.269 0.109 0.671
12 O 0.273 0.602 0.357
13 O 0.273 0.715 0.952
14 O 0.349 0.731 0.157
15 O 0.396 0.114 0.051
16 O 0.417 0.126 0.412

---

So what do the calculations give for raw total energy? Going down the list: -6.598 -7.067 -7.175 -7.160 -6.373 -7.944 -7.704 -6.459 eV/atom.
So what do the calculations give for E_form? Going down the list: -2.454 -2.830 -3.295 -3.297 -2.640 -3.423 -2.989 -2.247 eV per atom.